(1)
An optimized crystal structure of Li3FeF6, computed with PBE+U.

Cell lengths 8.6355, 8.6355, 10.2351 Å; angles 90.00, 90.00, 120.00 degrees
Space group R-3 (No. 148, hexagonal axes)
Unique sites:
Li (0.0392, 0.2655, 0.2123)
Fe (0.0000, 0.0000, 0.0000)
Fe (0.0000, 0.0000, 0.5000)
F (0.0198, 0.1868, 0.8816)
F (0.0251, 0.2013, 0.3963)

---

(2)
An optimized crystal structure of CsPrMo2O8, computed with PBE+U.

Cell lengths 5.186, 9.795, 8.492 Å; angles 90.00, 90.00, 90.00 degrees
Space group Pccm (No. 49)
Unique sites:
Cs (0.000, 0.000, 0.250)
Pr (0.000, 0.500, 0.250)
Mo (0.481, 0.300, 0.000)
O (0.254, 0.428, 0.500)
O (0.268, 0.310, 0.168)
O (0.378, 0.138, 0.500)

Output
- spin magnetization (μB/f.u.) = 0.0

---

(3)
An optimized crystal structure of LaFe5Bi4O15, computed with PBE+U.

Cell lengths 5.583, 9.676, 12.528 Å; angles 97.25, 102.87, 106.75 degrees
Space group P1 (No. 1)
Unique sites:
La (0.000, 0.000, 0.000)
La (0.204, 0.799, 0.607)
Fe (0.044, 0.440, 0.641)
Fe (0.141, 0.340, 0.942)
Fe (0.244, 0.240, 0.240)
Fe (0.346, 0.145, 0.548)
Fe (0.443, 0.040, 0.842)
Fe (0.544, 0.942, 0.145)
Fe (0.641, 0.842, 0.444)
Fe (0.744, 0.739, 0.741)
Fe (0.844, 0.641, 0.047)
Fe (0.941, 0.536, 0.339)
Bi (0.116, 0.921, 0.318)
Bi (0.312, 0.712, 0.917)
Bi (0.421, 0.614, 0.222)
Bi (0.519, 0.514, 0.520)
Bi (0.622, 0.420, 0.821)
Bi (0.723, 0.312, 0.118)
Bi (0.817, 0.221, 0.418)
Bi (0.926, 0.122, 0.721)
O (0.015, 0.508, 0.963)
O (0.023, 0.354, 0.293)
O (0.107, 0.279, 0.083)
O (0.116, 0.854, 0.801)
O (0.152, 0.374, 0.782)
O (0.162, 0.808, 0.063)
O (0.208, 0.314, 0.565)
O (0.224, 0.156, 0.893)
O (0.315, 0.076, 0.686)
O (0.317, 0.647, 0.396)
O (0.352, 0.171, 0.384)
O (0.367, 0.609, 0.663)
O (0.416, 0.111, 0.165)
O (0.417, 0.949, 0.494)
O (0.500, 0.865, 0.284)
O (0.518, 0.449, 0.989)
O (0.546, 0.972, 0.984)
O (0.571, 0.412, 0.268)
O (0.628, 0.752, 0.092)
O (0.632, 0.910, 0.773)
O (0.709, 0.675, 0.882)
O (0.728, 0.260, 0.593)
O (0.746, 0.772, 0.586)
O (0.772, 0.212, 0.867)
O (0.821, 0.708, 0.368)
O (0.838, 0.559, 0.692)
O (0.914, 0.477, 0.485)
O (0.921, 0.054, 0.196)
O (0.951, 0.568, 0.186)
O (0.962, 0.010, 0.464)

Output
- spin magnetization (μB/f.u.) = 25.0

---

(4)
An optimized crystal structure of MgNbV3O10, computed with PBE+U.

Cell lengths 6.635, 6.635, 5.422 Å; angles 90.00, 90.00, 90.00 degrees
Space group P-4m2 (No. 115)
Unique sites:
Mg (0.000, 0.000, 0.000)
Nb (0.500, 0.500, 0.500)
V (0.000, 0.000, 0.500)
V (0.000, 0.500, 0.631)
O (0.000, 0.207, 0.722)
O (0.000, 0.500, 0.330)
O (0.277, 0.500, 0.711)

Output
- spin magnetization (μB/f.u.) = 2.0

---

Number 1: energy of formation -29.68 eV/f.u.. Number 2: energy of formation -30.32 eV/f.u.. Number 3: energy of formation -46.28 eV/f.u.. Number 4: energy of formation -37.29 eV/f.u..